1.
Entry from the Materials Project: a relaxed RbYMnWO6 crystal (GGA+U).

a b c (Å): 5.4295 5.6218 9.8002
angles (deg): 90.00 93.03 90.00
Last column: nearest neighbours and their distance in Å.
Fractional positions:
Rb  0.2325  0.0000  0.0122  6 O 2.82-3.06
Rb  0.7675  0.5000  0.9878  6 O 2.82-3.06
Y  0.2699  0.0486  0.5011  6 O 2.25-2.43
Y  0.7301  0.5486  0.4989  6 O 2.25-2.43
Mn  0.2553  0.4992  0.6940  5 O 2.07-2.25
Mn  0.7447  0.9992  0.3060  5 O 2.07-2.25
W  0.2192  0.4890  0.2798  4 O 1.83-2.01
W  0.7808  0.9890  0.7202  4 O 1.83-2.01
O  0.0551  0.1886  0.2588  1 W 1.92, 1 Mn 2.07
O  0.0737  0.1701  0.7337  1 W 1.89
O  0.1289  0.4412  0.4894  1 Mn 2.11, 1 W 2.15, 2 Y 2.25-2.34
O  0.3024  0.5118  0.1017  1 W 1.83
O  0.4282  0.7604  0.3540  1 W 2.01, 1 Mn 2.25
O  0.4857  0.7876  0.6478  1 W 2.06, 1 Mn 2.11
O  0.5143  0.2876  0.3522  1 W 2.06, 1 Mn 2.11
O  0.5718  0.2604  0.6460  1 W 2.01, 1 Mn 2.25
O  0.6976  0.0118  0.8983  1 W 1.83
O  0.8711  0.9412  0.5106  1 Mn 2.11, 1 W 2.15, 2 Y 2.25-2.34
O  0.9263  0.6701  0.2663  1 W 1.89
O  0.9449  0.6886  0.7412  1 W 1.92, 1 Mn 2.07

Results
SG: P2_1, No. 4
Formation energy from the elements, eV per atom: -2.642
Total energy after the MP2020 corrections, Ry/atom: -0.630


2.
Entry from the Materials Project: a relaxed MnReO4 crystal (GGA+U).

a b c (Å): 5.7342 6.8914 7.2577
angles (deg): 86.26 89.56 90.13
Last column: nearest neighbours and their distance in Å.
Fractional positions:
Mn  0.6755  0.8745  0.3760  6 O 2.16-2.25
Mn  0.3245  0.1255  0.6239  6 O 2.16-2.25
Mn  0.6755  0.3745  0.8761  6 O 2.16-2.25
Mn  0.3245  0.6255  0.1239  6 O 2.16-2.25
Re  0.1675  0.6240  0.6254  4 O 1.82-1.96
Re  0.1674  0.1240  0.1253  4 O 1.82-1.96
Re  0.8326  0.8760  0.8746  4 O 1.82-1.96
Re  0.8327  0.3760  0.3747  4 O 1.82-1.96
O  0.3689  0.4266  0.6878  1 Re 1.82
O  0.3689  0.9266  0.1878  1 Re 1.82
O  0.3695  0.3248  0.0627  1 Re 1.84
O  0.3695  0.8248  0.5627  1 Re 1.83
O  0.6311  0.5734  0.3122  1 Re 1.82
O  0.6311  0.0734  0.8122  1 Re 1.82
O  0.6305  0.6752  0.9373  1 Re 1.83
O  0.6305  0.1752  0.4373  1 Re 1.84
O  0.8970  0.4251  0.6309  2 Re 1.95-2.07
O  0.8970  0.9251  0.1308  2 Re 1.95-2.07
O  0.8966  0.3226  0.1174  2 Re 1.96-2.07, 1 Mn 2.18
O  0.8966  0.8226  0.6175  2 Re 1.96-2.07, 1 Mn 2.18
O  0.1033  0.6774  0.8826  2 Re 1.96-2.07, 1 Mn 2.18
O  0.1034  0.1774  0.3826  2 Re 1.96-2.07, 1 Mn 2.18
O  0.1030  0.5749  0.3691  2 Re 1.95-2.06
O  0.1029  0.0748  0.8691  2 Re 1.95-2.06

Results
Formation energy from the elements, eV per atom: -2.063
Total energy after the MP2020 corrections, Ry/atom: -0.659


3.
Entry from the Materials Project: a relaxed MnRe2O10 crystal (GGA+U).

a b c (Å): 8.2428 8.2428 5.6675
angles (deg): 107.71 107.71 41.43
Last column: nearest neighbours and their distance in Å.
Fractional positions:
Mn  0.0000  0.0000  0.0000  2 O 1.78
Re  0.3657  0.3657  0.0321  4 O 1.72-1.79
Re  0.6343  0.6343  0.9679  4 O 1.72-1.79
O  0.0929  0.0929  0.2865  1 Mn 1.78
O  0.1860  0.6834  0.1426  1 Re 1.79
O  0.2737  0.2737  0.1426  1 Re 1.73
O  0.3166  0.8140  0.8574  1 Re 1.79
O  0.3267  0.3267  0.7103  1 Re 1.72
O  0.6733  0.6733  0.2897  1 Re 1.72
O  0.6834  0.1860  0.1426  1 Re 1.79
O  0.7263  0.7263  0.8574  1 Re 1.73
O  0.8140  0.3166  0.8574  1 Re 1.79
O  0.9071  0.9071  0.7135  1 Mn 1.78

Results
SG: C2/m, No. 12
Formation energy from the elements, eV per atom: -1.622
Excess energy over the best structure of this formula in the dataset, meV/atom: 0
Total energy after the MP2020 corrections, Ry/atom: -0.591


4.
Entry from the Materials Project: a relaxed MnRe2O8 crystal (GGA+U).

a b c (Å): 5.9617 14.4422 10.3243
angles (deg): 69.05 90.01 78.09
Last column: nearest neighbours and their distance in Å.
Fractional positions:
Mn  0.5000  0.0000  0.5000  6 O 2.16-2.17
Mn  0.2500  0.5000  0.2500  6 O 2.16-2.17
Mn  0.7500  0.5000  0.7500  6 O 2.16
Mn  0.0000  0.0000  0.0000  6 O 2.16
Re  0.6811  0.6376  0.3479  4 O 1.73-1.76
Re  0.4312  0.1376  0.0978  4 O 1.73-1.76
Re  0.1812  0.6376  0.8479  4 O 1.73-1.76
Re  0.9312  0.1376  0.5979  4 O 1.73-1.76
Re  0.0689  0.8624  0.4021  4 O 1.73-1.76
Re  0.8188  0.3624  0.1521  4 O 1.73-1.76
Re  0.5688  0.8624  0.9022  4 O 1.73-1.76
Re  0.3188  0.3624  0.6522  4 O 1.73-1.76
O  0.1347  0.7306  0.4680  1 Re 1.73
O  0.8847  0.2306  0.2180  1 Re 1.73
O  0.6347  0.7306  0.9680  1 Re 1.73
O  0.3847  0.2306  0.7180  1 Re 1.73
O  0.6153  0.7694  0.2820  1 Re 1.73
O  0.3653  0.2694  0.0320  1 Re 1.73
O  0.1153  0.7694  0.7820  1 Re 1.73
O  0.8653  0.2694  0.5320  1 Re 1.73
O  0.2864  0.9064  0.4623  1 Re 1.76
O  0.0364  0.4064  0.2123  1 Re 1.76
O  0.7864  0.9064  0.9623  1 Re 1.76
O  0.5364  0.4064  0.7123  1 Re 1.76
O  0.6998  0.5935  0.5308  1 Re 1.76
O  0.4498  0.0935  0.2808  1 Re 1.76
O  0.1998  0.5935  0.0308  1 Re 1.76
O  0.9498  0.0935  0.7809  1 Re 1.76
O  0.9462  0.5936  0.2912  1 Re 1.76
O  0.6962  0.0936  0.0412  1 Re 1.76
O  0.4462  0.5936  0.7912  1 Re 1.76
O  0.1962  0.0936  0.5412  1 Re 1.76
O  0.8038  0.9064  0.4588  1 Re 1.76
O  0.5538  0.4064  0.2088  1 Re 1.76
O  0.3038  0.9064  0.9588  1 Re 1.76
O  0.0538  0.4064  0.7088  1 Re 1.76
O  0.0502  0.9065  0.2192  1 Re 1.76
O  0.8002  0.4065  0.9692  1 Re 1.76
O  0.5502  0.9065  0.7192  1 Re 1.76
O  0.3002  0.4065  0.4692  1 Re 1.76
O  0.4636  0.5936  0.2877  1 Re 1.76
O  0.2136  0.0936  0.0377  1 Re 1.76
O  0.9636  0.5936  0.7877  1 Re 1.76
O  0.7136  0.0936  0.5377  1 Re 1.76

Results
Formation energy from the elements, eV per atom: -2.207
Total energy after the MP2020 corrections, Ry/atom: -0.654


5.
Entry from the Materials Project: a relaxed MnRe2O10 crystal (GGA+U).

a b c (Å): 7.7410 7.7410 5.6702
angles (deg): 108.26 108.26 43.99
Last column: nearest neighbours and their distance in Å.
Fractional positions:
Mn  0.0000  0.0000  0.0000  6 O 1.95-2.06
Re  0.3621  0.3621  0.1462  4 O 1.73-1.78
Re  0.6379  0.6379  0.8538  4 O 1.73-1.78
O  0.1106  0.1106  0.3165  1 Mn 1.95
O  0.1853  0.6852  0.1520  1 Re 1.78
O  0.2584  0.2584  0.8795  1 Re 1.73
O  0.3148  0.8147  0.8480  1 Re 1.78
O  0.3240  0.3240  0.4048  1 Re 1.73
O  0.6760  0.6760  0.5952  1 Re 1.73
O  0.6852  0.1853  0.1520  1 Re 1.78
O  0.7416  0.7416  0.1205  1 Re 1.73
O  0.8147  0.3148  0.8480  1 Re 1.78
O  0.8894  0.8894  0.6835  1 Mn 1.95

Results
SG: C2/m, No. 12
Formation energy from the elements, eV per atom: -1.602
Excess energy over the best structure of this formula in the dataset, meV/atom: 20
Total energy after the MP2020 corrections, Ry/atom: -0.590


6.
Entry from the Materials Project: a relaxed MnRe2O8 crystal (GGA+U).

a b c (Å): 6.7738 10.2942 11.8867
angles (deg): 90.00 90.00 90.00
Last column: nearest neighbours and their distance in Å.
Fractional positions:
Mn  0.0000  0.0000  0.5000  6 O 2.16
Mn  0.0000  0.5000  0.7500  6 O 2.16
Mn  0.0000  0.0000  0.0000  6 O 2.16
Mn  0.0000  0.5000  0.2500  6 O 2.16
Re  0.2696  0.3333  0.5000  4 O 1.73-1.76
Re  0.2696  0.8333  0.7500  4 O 1.73-1.76
Re  0.2696  0.3333  0.0000  4 O 1.73-1.76
Re  0.2696  0.8333  0.2500  4 O 1.73-1.76
Re  0.7304  0.1667  0.2500  4 O 1.73-1.76
Re  0.7304  0.6667  0.5000  4 O 1.73-1.76
Re  0.7304  0.1667  0.7500  4 O 1.73-1.76
Re  0.7304  0.6667  0.0000  4 O 1.73-1.76
O  0.4745  0.1667  0.2500  1 Re 1.73
O  0.4745  0.6667  0.5000  1 Re 1.73
O  0.4745  0.1667  0.7500  1 Re 1.73
O  0.4745  0.6667  0.0000  1 Re 1.73
O  0.5255  0.3333  0.5000  1 Re 1.73
O  0.5255  0.8333  0.7500  1 Re 1.73
O  0.5255  0.3333  0.0000  1 Re 1.73
O  0.5255  0.8333  0.2500  1 Re 1.73
O  0.8170  0.0816  0.1315  1 Re 1.76
O  0.8170  0.5816  0.3815  1 Re 1.76
O  0.8170  0.0816  0.6315  1 Re 1.76
O  0.8170  0.5816  0.8815  1 Re 1.76
O  0.1830  0.1723  0.5046  1 Re 1.76
O  0.1830  0.6723  0.7546  1 Re 1.76
O  0.1830  0.1723  0.0046  1 Re 1.76
O  0.1830  0.6723  0.2546  1 Re 1.76
O  0.1830  0.4092  0.3769  1 Re 1.76
O  0.1830  0.9092  0.6269  1 Re 1.76
O  0.1830  0.4092  0.8769  1 Re 1.76
O  0.1830  0.9092  0.1269  1 Re 1.76
O  0.1830  0.4184  0.6185  1 Re 1.76
O  0.1830  0.9184  0.8685  1 Re 1.76
O  0.1830  0.4184  0.1185  1 Re 1.76
O  0.1830  0.9184  0.3685  1 Re 1.76
O  0.8170  0.3277  0.2454  1 Re 1.76
O  0.8170  0.8277  0.4954  1 Re 1.76
O  0.8170  0.3277  0.7454  1 Re 1.76
O  0.8170  0.8277  0.9954  1 Re 1.76
O  0.8170  0.0908  0.3731  1 Re 1.76
O  0.8170  0.5908  0.6231  1 Re 1.76
O  0.8170  0.0908  0.8731  1 Re 1.76
O  0.8170  0.5908  0.1231  1 Re 1.76

Results
Formation energy from the elements, eV per atom: -2.208
Total energy after the MP2020 corrections, Ry/atom: -0.654


Number 1: ρ 5.66 g/cm³, total magnetization 5.000 μB per formula unit. Number 2: ρ 7.08 g/cm³, total magnetization 0.000 μB per formula unit. Number 3: ρ 4.05 g/cm³, total magnetization 1.000 μB per formula unit. Number 4: ρ 4.56 g/cm³, total magnetization 0.000 μB per formula unit. Number 5: ρ 4.39 g/cm³, total magnetization 1.000 μB per formula unit. Number 6: ρ 4.45 g/cm³, total magnetization 0.000 μB per formula unit.